No. 1
This record from Materials Project describes an optimized crystal structure of K2CuNi2S2O2. The functional is PBE+U.

Cell: 11.170 11.170 11.170 Å, 160.33 160.33 27.95°
Sites, in units of the cell vectors:
1 K 0.089 0.089 0.000
2 K 0.911 0.911 0.000
3 Cu 0.500 0.500 0.000
4 Ni 0.250 0.750 0.500
5 Ni 0.750 0.250 0.500
6 S 0.316 0.316 0.000
7 S 0.684 0.684 0.000
8 O 0.000 0.500 0.500
9 O 0.500 0.000 0.500

Values from the calculation:
Final energy (eV per atom): -3.852
Spin magnetization (μB per formula unit): 3.15


No. 2
This record from Materials Project describes an optimized crystal structure of LaMn4Cu3O12. The functional is PBE+U.

Cell: 6.475 6.475 10.579 Å, 89.99 90.01 109.54°
Sites, in units of the cell vectors:
1 Cu 0.250 0.750 0.750
2 O 0.740 0.260 0.432
3 O 0.722 0.894 0.586
4 O 0.894 0.722 0.414
5 O 0.069 0.931 0.760
6 Mn 0.250 0.250 0.250
7 O 0.606 0.778 0.086
8 O 0.260 0.740 0.568
9 Mn 0.000 0.500 0.500
10 Cu 0.750 0.250 0.750
11 O 0.431 0.569 0.740
12 O 0.394 0.222 0.914
13 Cu 0.000 0.000 0.500
14 Mn 0.750 0.750 0.250
15 Cu 0.250 0.750 0.250
16 O 0.222 0.394 0.086
17 O 0.983 0.675 0.154
18 O 0.825 0.517 0.654
19 O 0.240 0.760 0.932
20 O 0.106 0.278 0.586
21 O 0.017 0.325 0.846
22 O 0.325 0.017 0.154
23 O 0.517 0.825 0.346
24 Mn 0.500 0.000 0.000
25 Mn 0.750 0.750 0.750
26 La 0.000 0.000 0.000
27 O 0.931 0.069 0.240
28 Cu 0.750 0.250 0.250
29 La 0.500 0.500 0.500
30 O 0.175 0.483 0.346
31 O 0.483 0.175 0.654
32 Mn 0.250 0.250 0.750
33 O 0.778 0.606 0.914
34 O 0.569 0.431 0.260
35 Cu 0.500 0.500 0.000
36 Mn 0.500 0.000 0.500
37 Mn 0.000 0.500 0.000
38 O 0.760 0.240 0.068
39 O 0.675 0.983 0.846
40 O 0.278 0.106 0.414

Values from the calculation:
Final energy (eV per atom): -6.769
Spin magnetization (μB per formula unit): 15.93


No. 3
This record from Materials Project describes an optimized crystal structure of La7SmMn7CuO20. The functional is PBE+U.

Cell: 11.348 11.733 17.821 Å, 109.09 108.53 90.01°
Sites, in units of the cell vectors:
1 La 0.000 0.000 0.000
2 La 0.000 0.499 0.000
3 La 0.005 0.000 0.497
4 La 0.136 0.636 0.771
5 La 0.137 0.137 0.773
6 La 0.141 0.634 0.278
7 La 0.148 0.134 0.280
8 La 0.249 0.773 0.495
9 La 0.251 0.767 0.000
10 La 0.252 0.268 0.001
11 La 0.386 0.403 0.771
12 La 0.386 0.905 0.773
13 La 0.392 0.913 0.280
14 La 0.490 0.488 0.493
15 La 0.499 0.498 0.998
16 La 0.501 0.001 0.000
17 La 0.635 0.134 0.279
18 La 0.637 0.636 0.276
19 La 0.637 0.636 0.771
20 La 0.638 0.136 0.772
21 La 0.746 0.776 0.495
22 La 0.747 0.263 0.497
23 La 0.750 0.766 0.999
24 La 0.751 0.267 0.000
25 La 0.887 0.902 0.772
26 La 0.888 0.406 0.774
27 La 0.893 0.907 0.277
28 La 0.896 0.407 0.278
29 Sm 0.009 0.491 0.495
30 Sm 0.252 0.271 0.494
31 Sm 0.389 0.410 0.279
32 Sm 0.500 0.997 0.494
33 Mn 0.077 0.798 0.633
34 Mn 0.080 0.801 0.136
35 Mn 0.081 0.299 0.136
36 Mn 0.081 0.303 0.633
37 Mn 0.185 0.452 0.886
38 Mn 0.185 0.952 0.886
39 Mn 0.329 0.603 0.637
40 Mn 0.330 0.105 0.136
41 Mn 0.330 0.602 0.138
42 Mn 0.332 0.105 0.636
43 Mn 0.435 0.202 0.886
44 Mn 0.435 0.702 0.886
45 Mn 0.436 0.703 0.387
46 Mn 0.578 0.299 0.637
47 Mn 0.578 0.799 0.135
48 Mn 0.579 0.801 0.633
49 Mn 0.580 0.303 0.140
50 Mn 0.685 0.452 0.886
51 Mn 0.685 0.951 0.886
52 Mn 0.687 0.452 0.389
53 Mn 0.828 0.598 0.630
54 Mn 0.830 0.105 0.638
55 Mn 0.830 0.602 0.138
56 Mn 0.832 0.103 0.139
57 Mn 0.935 0.202 0.886
58 Mn 0.935 0.702 0.886
59 Mn 0.936 0.702 0.389
60 Mn 0.937 0.202 0.387
61 Cu 0.189 0.453 0.387
62 Cu 0.190 0.954 0.388
63 Cu 0.440 0.202 0.388
64 Cu 0.690 0.951 0.386
65 O 0.014 0.136 0.637
66 O 0.015 0.625 0.630
67 O 0.015 0.632 0.136
68 O 0.016 0.132 0.137
69 O 0.050 0.310 0.861
70 O 0.050 0.810 0.861
71 O 0.055 0.813 0.368
72 O 0.058 0.318 0.372
73 O 0.066 0.932 0.237
74 O 0.068 0.432 0.236
75 O 0.074 0.589 0.408
76 O 0.074 0.592 0.909
77 O 0.075 0.093 0.911
78 O 0.081 0.096 0.410
79 O 0.083 0.929 0.744
80 O 0.087 0.431 0.745
81 O 0.216 0.470 0.538
82 O 0.216 0.972 0.540
83 O 0.224 0.473 0.027
84 O 0.224 0.974 0.026
85 O 0.264 0.772 0.636
86 O 0.265 0.271 0.631
87 O 0.265 0.770 0.136
88 O 0.271 0.279 0.142
89 O 0.299 0.818 0.860
90 O 0.301 0.320 0.863
91 O 0.304 0.823 0.368
92 O 0.307 0.326 0.368
93 O 0.320 0.074 0.237
94 O 0.320 0.580 0.402
95 O 0.324 0.085 0.910
96 O 0.325 0.586 0.912
97 O 0.328 0.085 0.411
98 O 0.335 0.583 0.748
99 O 0.335 0.584 0.248
100 O 0.337 0.086 0.747
101 O 0.461 0.332 0.538
102 O 0.471 0.822 0.525
103 O 0.474 0.821 0.025
104 O 0.475 0.320 0.028
105 O 0.513 0.634 0.636
106 O 0.515 0.126 0.632
107 O 0.515 0.133 0.137
108 O 0.515 0.630 0.136
109 O 0.547 0.314 0.362
110 O 0.550 0.311 0.862
111 O 0.550 0.810 0.861
112 O 0.557 0.815 0.370
113 O 0.565 0.931 0.235
114 O 0.573 0.431 0.246
115 O 0.573 0.591 0.406
116 O 0.574 0.088 0.407
117 O 0.575 0.093 0.911
118 O 0.575 0.594 0.912
119 O 0.583 0.431 0.747
120 O 0.585 0.930 0.745
121 O 0.711 0.978 0.539
122 O 0.712 0.468 0.527
123 O 0.726 0.473 0.027
124 O 0.726 0.973 0.028
125 O 0.764 0.274 0.638
126 O 0.764 0.771 0.136
127 O 0.765 0.272 0.137
128 O 0.765 0.770 0.635
129 O 0.800 0.319 0.861
130 O 0.800 0.818 0.365
131 O 0.800 0.818 0.861
132 O 0.801 0.320 0.365
133 O 0.823 0.082 0.407
134 O 0.824 0.584 0.909
135 O 0.825 0.085 0.911
136 O 0.828 0.582 0.412
137 O 0.830 0.085 0.248
138 O 0.831 0.584 0.248
139 O 0.835 0.083 0.748
140 O 0.836 0.583 0.744
141 O 0.966 0.321 0.526
142 O 0.968 0.825 0.527
143 O 0.974 0.819 0.024
144 O 0.976 0.319 0.025

Values from the calculation:
Final energy (eV per atom): -7.914
Spin magnetization (μB per formula unit): 34.00


No. 4
This record from Materials Project describes an optimized crystal structure of Sr3La9Mn10Cu2O36. The functional is PBE+U.

Cell: 5.501 5.501 27.224 Å, 90.55 90.55 60.76°
Sites, in units of the cell vectors:
1 Sr 0.000 0.000 0.000
2 Sr 0.335 0.332 0.165
3 Sr 0.668 0.665 0.835
4 La 0.000 0.000 0.249
5 La 0.000 0.000 0.500
6 La 0.000 0.000 0.751
7 La 0.332 0.335 0.668
8 La 0.333 0.333 0.414
9 La 0.334 0.334 0.918
10 La 0.665 0.668 0.332
11 La 0.666 0.666 0.082
12 La 0.667 0.667 0.586
13 Mn 0.001 0.999 0.125
14 Mn 0.001 0.999 0.875
15 Mn 0.332 0.335 0.542
16 Mn 0.333 0.334 0.042
17 Mn 0.333 0.334 0.793
18 Mn 0.337 0.330 0.291
19 Mn 0.665 0.668 0.458
20 Mn 0.666 0.667 0.207
21 Mn 0.666 0.667 0.958
22 Mn 0.670 0.663 0.709
23 Cu 0.000 0.001 0.625
24 Cu 0.999 0.000 0.375
25 O 0.036 0.482 0.991
26 O 0.044 0.478 0.489
27 O 0.104 0.236 0.581
28 O 0.112 0.222 0.083
29 O 0.152 0.701 0.571
30 O 0.154 0.693 0.076
31 O 0.187 0.628 0.843
32 O 0.193 0.616 0.342
33 O 0.209 0.122 0.832
34 O 0.234 0.109 0.332
35 O 0.299 0.848 0.429
36 O 0.307 0.846 0.924
37 O 0.372 0.813 0.157
38 O 0.384 0.807 0.658
39 O 0.439 0.556 0.748
40 O 0.444 0.561 0.252
41 O 0.483 0.037 0.740
42 O 0.485 0.030 0.242
43 O 0.518 0.964 0.009
44 O 0.522 0.956 0.511
45 O 0.541 0.459 0.000
46 O 0.564 0.436 0.500
47 O 0.613 0.196 0.593
48 O 0.639 0.180 0.090
49 O 0.701 0.155 0.321
50 O 0.702 0.147 0.824
51 O 0.764 0.896 0.419
52 O 0.778 0.888 0.917
53 O 0.804 0.387 0.407
54 O 0.820 0.361 0.910
55 O 0.845 0.299 0.679
56 O 0.853 0.298 0.176
57 O 0.878 0.791 0.168
58 O 0.891 0.766 0.668
59 O 0.963 0.517 0.260
60 O 0.970 0.515 0.758

Values from the calculation:
Final energy (eV per atom): -7.557
Spin magnetization (μB per formula unit): 33.05


No. 5
This record from Materials Project describes an optimized crystal structure of La4Cu3MoO12. The functional is PBE+U.

Cell: 6.930 10.982 7.974 Å, 90.00 90.05 90.00°
Sites, in units of the cell vectors:
1 La 0.000 0.248 0.000
2 La 0.000 0.752 0.000
3 La 0.009 0.249 0.490
4 La 0.009 0.751 0.490
5 La 0.486 0.252 0.752
6 La 0.486 0.748 0.752
7 La 0.496 0.250 0.242
8 La 0.496 0.750 0.242
9 Cu 0.135 0.500 0.778
10 Cu 0.141 0.500 0.216
11 Cu 0.357 0.000 0.467
12 Cu 0.359 0.000 0.031
13 Cu 0.706 0.500 0.995
14 Cu 0.794 0.000 0.258
15 Mo 0.665 0.500 0.497
16 Mo 0.825 0.000 0.743
17 O 0.164 0.333 0.244
18 O 0.164 0.667 0.244
19 O 0.165 0.333 0.748
20 O 0.165 0.667 0.748
21 O 0.330 0.166 0.497
22 O 0.330 0.834 0.497
23 O 0.332 0.167 0.000
24 O 0.332 0.833 0.000
25 O 0.509 0.000 0.252
26 O 0.529 0.500 0.298
27 O 0.530 0.500 0.697
28 O 0.559 0.000 0.762
29 O 0.665 0.335 0.996
30 O 0.665 0.665 0.996
31 O 0.666 0.324 0.497
32 O 0.666 0.676 0.497
33 O 0.830 0.176 0.742
34 O 0.830 0.824 0.742
35 O 0.832 0.166 0.245
36 O 0.832 0.834 0.245
37 O 0.933 0.500 0.497
38 O 0.940 0.000 0.531
39 O 0.966 0.000 0.939
40 O 0.989 0.500 0.999

Values from the calculation:
Final energy (eV per atom): -7.217
Spin magnetization (μB per formula unit): 1.00
Polymorph energy (0 for the lowest one) (eV per atom): 0.001


No. 6
This record from Materials Project describes an optimized crystal structure of La4Cu3MoO12. The functional is PBE+U.

Cell: 7.824 7.975 8.306 Å, 92.71 90.63 90.62°
Sites, in units of the cell vectors:
1 La 0.237 0.298 0.246
2 La 0.249 0.784 0.247
3 La 0.256 0.270 0.696
4 La 0.259 0.784 0.710
5 La 0.741 0.216 0.290
6 La 0.744 0.730 0.304
7 La 0.751 0.216 0.753
8 La 0.763 0.702 0.754
9 Cu 0.000 0.000 0.500
10 Cu 0.000 0.500 0.000
11 Cu 0.000 0.500 0.500
12 Cu 0.500 0.000 0.000
13 Cu 0.500 0.000 0.500
14 Cu 0.500 0.500 0.500
15 Mo 0.000 0.000 0.000
16 Mo 0.500 0.500 0.000
17 O 0.034 0.244 0.459
18 O 0.048 0.771 0.928
19 O 0.049 0.071 0.784
20 O 0.054 0.546 0.229
21 O 0.238 0.031 0.073
22 O 0.245 0.966 0.483
23 O 0.254 0.530 0.534
24 O 0.263 0.423 0.965
25 O 0.444 0.725 0.939
26 O 0.450 0.558 0.224
27 O 0.456 0.051 0.765
28 O 0.462 0.258 0.456
29 O 0.538 0.742 0.544
30 O 0.544 0.949 0.235
31 O 0.550 0.442 0.776
32 O 0.556 0.275 0.061
33 O 0.737 0.577 0.035
34 O 0.746 0.470 0.466
35 O 0.755 0.034 0.517
36 O 0.762 0.969 0.927
37 O 0.946 0.454 0.771
38 O 0.951 0.929 0.216
39 O 0.952 0.229 0.072
40 O 0.966 0.756 0.541

Values from the calculation:
Final energy (eV per atom): -7.168
Spin magnetization (μB per formula unit): 0.73
Polymorph energy (0 for the lowest one) (eV per atom): 0.050


Which energy relative to the elements belongs to each record? In order, -675 -1852 -2885 -2790 -2676 -2627 meV/atom.